[1]
First-principles (meta-GGA r2SCAN) data for a geometry-optimized NiAsPd structure, as listed in the Materials Project.

symmetry	No. 189
E_form	-29.4	kJ per mole of atoms

```
NiAsPd
1.0
-4.8558 3.8294 -0.0759
0.5656 -4.1874 4.5160
1.9199 2.4752 2.0546
Ni As Pd
3 3 3
Cartesian
0.4246 -3.1434 3.3901
-1.0696 -0.0893 1.1070
-3.6452 2.8747 -0.0570
-1.2415 -1.5151 2.9854
-3.0487 1.1571 1.4548
0.9599 1.2376 1.0273
1.1921 -0.4814 2.8812
-1.5691 1.0266 3.6447
-1.0334 2.8096 0.9962
```

---

[2]
First-principles (meta-GGA r2SCAN) data for a geometry-optimized YLuZn2 structure, as listed in the Materials Project.

symmetry	No. 225
E_form	-37.7	kJ per mole of atoms

```
YLuZn2
1.0
2.5246 1.6373 3.9570
-2.3965 0.9934 4.2405
0.6140 -2.9519 3.9523
Y Lu Zn
1 1 2
Cartesian
0.5566 -0.2409 9.1124
0.1855 -0.0803 3.0375
0.0000 0.0000 0.0000
0.3711 -0.1606 6.0749
```

---

Number 1: density 9.64 Mg/m³, calculated total energy -16.855 eV per atom. Number 2: density 7.55 Mg/m³, calculated total energy -19.445 eV per atom.